1.
Computed, not measured: Li5Mn6O12 after structural relaxation at the GGA+U level of DFT.

Lattice parameters (Å, degrees): 6.142 6.552 6.557 97.80 103.26 112.38
Space group P-1 (No. 2)
One atom of each set of equivalent atoms:
Li (0.000, 0.000, 0.000) x1
Li (0.003, 0.670, 0.669) x2
Li (0.499, 0.674, 0.674) x2
Mn (0.251, 0.838, 0.328) x2
Mn (0.252, 0.507, 0.997) x2
Mn (0.253, 0.167, 0.666) x2
O (0.103, 0.726, 0.012) x2
O (0.141, 0.082, 0.346) x2
O (0.151, 0.418, 0.683) x2
O (0.352, 0.919, 0.640) x2
O (0.355, 0.589, 0.312) x2
O (0.376, 0.273, 0.984) x2

E (MP2020) in eV/atom: -7.48
Energy relative to the lowest polymorph listed for this composition in meV per atom: 15

2.
Computed, not measured: Li7Mn4O12 after structural relaxation at the GGA+U level of DFT.

Lattice parameters (Å, degrees): 4.999 5.000 9.740 94.52 94.38 119.55
Space group P1 (No. 1)
One atom of each set of equivalent atoms:
Li (0.000, 0.000, 0.000) x1
Li (0.104, 0.410, 0.252) x1
Li (0.225, 0.845, 0.508) x1
Li (0.354, 0.667, 0.000) x1
Li (0.535, 0.534, 0.507) x1
Li (0.674, 0.296, 0.994) x1
Li (0.855, 0.165, 0.500) x1
Mn (0.269, 0.249, 0.750) x1
Mn (0.435, 0.077, 0.250) x1
Mn (0.771, 0.740, 0.250) x1
Mn (0.935, 0.583, 0.751) x1
O (0.011, 0.324, 0.867) x1
O (0.070, 0.733, 0.139) x1
O (0.135, 0.083, 0.361) x1
O (0.194, 0.507, 0.634) x1
O (0.263, 0.949, 0.865) x1
O (0.426, 0.375, 0.139) x1
O (0.498, 0.804, 0.365) x1
O (0.569, 0.254, 0.637) x1
O (0.634, 0.576, 0.865) x1
O (0.709, 0.014, 0.136) x1
O (0.778, 0.441, 0.361) x1
O (0.942, 0.882, 0.636) x1

E (MP2020) in eV/atom: -6.83

3.
Computed, not measured: LiMn3O4 after structural relaxation at the GGA+U level of DFT.

Lattice parameters (Å, degrees): 5.261 6.123 6.231 61.42 76.25 74.55
Space group P-1 (No. 2)
One atom of each set of equivalent atoms:
Li (0.014, 0.229, 0.261) x2
Mn (0.007, 0.747, 0.253) x2
Mn (0.500, 0.000, 0.000) x1
Mn (0.500, 0.000, 0.500) x1
Mn (0.500, 0.500, 0.000) x1
Mn (0.500, 0.500, 0.500) x1
O (0.247, 0.355, 0.384) x2
O (0.258, 0.880, 0.890) x2
O (0.260, 0.877, 0.389) x2
O (0.272, 0.338, 0.885) x2

E (MP2020) in eV/atom: -8.19

4.
Computed, not measured: LiMn3O6 after structural relaxation at the GGA+U level of DFT.

Lattice parameters (Å, degrees): 8.551 8.205 13.272 90.00 108.45 90.00
Space group Cc (No. 9)
One atom of each set of equivalent atoms:
Li (0.000, 0.121, 0.000) x4
Li (0.347, 0.124, 0.671) x4
Mn (0.000, 0.000, 0.253) x4
Mn (0.097, 0.253, 0.422) x4
Mn (0.170, 0.497, 0.084) x4
Mn (0.250, 0.253, 0.249) x4
Mn (0.345, 0.001, 0.418) x4
Mn (0.420, 0.251, 0.084) x4
O (0.027, 0.236, 0.266) x4
O (0.077, 0.489, 0.428) x4
O (0.117, 0.016, 0.420) x4
O (0.170, 0.262, 0.097) x4
O (0.172, 0.268, 0.574) x4
O (0.250, 0.486, 0.236) x4
O (0.255, 0.015, 0.263) x4
O (0.320, 0.241, 0.406) x4
O (0.373, 0.233, 0.927) x4
O (0.396, 0.484, 0.085) x4
O (0.436, 0.012, 0.074) x4
O (0.470, 0.268, 0.240) x4

E (MP2020) in eV/atom: -7.89
Energy relative to the lowest polymorph listed for this composition in meV per atom: 0

5.
Computed, not measured: Li4Mn3O7 after structural relaxation at the GGA+U level of DFT.

Lattice parameters (Å, degrees): 2.993 8.185 10.734 78.82 85.91 88.98
Space group P-1 (No. 2)
One atom of each set of equivalent atoms:
Li (0.000, 0.000, 0.000) x1
Li (0.000, 0.500, 0.000) x1
Li (0.132, 0.068, 0.723) x2
Li (0.281, 0.644, 0.432) x2
Li (0.422, 0.200, 0.142) x2
Mn (0.134, 0.570, 0.718) x2
Mn (0.286, 0.143, 0.427) x2
Mn (0.436, 0.725, 0.138) x2
O (0.032, 0.255, 0.981) x2
O (0.111, 0.325, 0.731) x2
O (0.112, 0.812, 0.713) x2
O (0.259, 0.386, 0.424) x2
O (0.317, 0.900, 0.434) x2
O (0.420, 0.946, 0.146) x2
O (0.461, 0.475, 0.148) x2

E (MP2020) in eV/atom: -7.10
Energy relative to the lowest polymorph listed for this composition in meV per atom: 24

6.
Computed, not measured: Li2MnO3 after structural relaxation at the GGA+U level of DFT.

Lattice parameters (Å, degrees): 5.329 2.854 15.200 90.00 92.96 90.00
Space group C2/m (No. 12)
One atom of each set of equivalent atoms:
Li (0.000, 0.000, 0.000) x2
Li (0.000, 0.000, 0.500) x2
Li (0.150, 0.500, 0.344) x4
Mn (0.171, 0.500, 0.834) x4
O (0.014, 0.000, 0.765) x4
O (0.168, 0.500, 0.585) x4
O (0.183, 0.500, 0.089) x4

E (MP2020) in eV/atom: -6.53

7.
Computed, not measured: Li7Mn17O32 after structural relaxation at the GGA+U level of DFT.

Lattice parameters (Å, degrees): 11.600 16.396 8.197 90.00 134.90 90.00
Space group C2 (No. 5)
One atom of each set of equivalent atoms:
Li (0.000, 0.000, 0.000) x2
Li (0.000, 0.250, 0.500) x2
Li (0.000, 0.500, 0.000) x2
Li (0.249, 0.125, 0.500) x4
Li (0.249, 0.376, 0.999) x4
Mn (0.000, 0.750, 0.500) x2
Mn (0.122, 0.187, 0.996) x4
Mn (0.122, 0.313, 0.247) x4
Mn (0.125, 0.063, 0.750) x4
Mn (0.125, 0.438, 0.500) x4
Mn (0.126, 0.561, 0.751) x4
Mn (0.126, 0.687, 0.004) x4
Mn (0.126, 0.813, 0.247) x4
Mn (0.126, 0.940, 0.500) x4
O (0.111, 0.057, 0.499) x4
O (0.111, 0.444, 0.723) x4
O (0.111, 0.556, 0.499) x4
O (0.111, 0.694, 0.224) x4
O (0.111, 0.806, 0.998) x4
O (0.111, 0.944, 0.723) x4
O (0.112, 0.194, 0.224) x4
O (0.112, 0.306, 0.001) x4
O (0.138, 0.069, 0.000) x4
O (0.138, 0.181, 0.776) x4
O (0.138, 0.319, 0.501) x4
O (0.138, 0.681, 0.776) x4
O (0.138, 0.819, 0.501) x4
O (0.139, 0.431, 0.277) x4
O (0.139, 0.569, 0.001) x4
O (0.139, 0.931, 0.277) x4

E (MP2020) in eV/atom: -7.82
Energy relative to the lowest polymorph listed for this composition in meV per atom: 81

8.
Computed, not measured: Li15Mn21O43 after structural relaxation at the GGA+U level of DFT.

Lattice parameters (Å, degrees): 5.893 5.894 29.288 88.96 89.22 61.80
Space group P1 (No. 1)
One atom of each set of equivalent atoms:
Li (0.000, 0.000, 0.000) x1
Li (0.000, 0.996, 0.686) x1
Li (0.250, 0.252, 0.653) x1
Li (0.276, 0.265, 0.150) x1
Li (0.316, 0.317, 0.021) x1
Li (0.318, 0.312, 0.517) x1
Li (0.476, 0.476, 0.747) x1
Li (0.601, 0.599, 0.980) x1
Li (0.635, 0.643, 0.478) x1
Li (0.647, 0.649, 0.350) x1
Li (0.655, 0.654, 0.847) x1
Li (0.923, 0.925, 0.814) x1
Li (0.939, 0.930, 0.314) x1
Li (0.968, 0.508, 0.243) x1
Li (0.971, 0.991, 0.185) x1
Mn (0.144, 0.144, 0.916) x1
Mn (0.147, 0.149, 0.414) x1
Mn (0.147, 0.648, 0.415) x1
Mn (0.164, 0.640, 0.912) x1
Mn (0.301, 0.826, 0.078) x1
Mn (0.301, 0.827, 0.578) x1
Mn (0.320, 0.323, 0.831) x1
Mn (0.323, 0.329, 0.332) x1
Mn (0.467, 0.480, 0.247) x1
Mn (0.483, 0.973, 0.746) x1
Mn (0.496, 0.968, 0.245) x1
Mn (0.640, 0.164, 0.912) x1
Mn (0.646, 0.150, 0.415) x1
Mn (0.648, 0.652, 0.667) x1
Mn (0.658, 0.645, 0.168) x1
Mn (0.807, 0.807, 0.581) x1
Mn (0.813, 0.809, 0.081) x1
Mn (0.825, 0.302, 0.578) x1
Mn (0.831, 0.295, 0.078) x1
Mn (0.965, 0.505, 0.744) x1
Mn (0.972, 0.978, 0.497) x1
O (0.022, 0.455, 0.877) x1
O (0.024, 0.470, 0.374) x1
O (0.117, 0.685, 0.541) x1
O (0.126, 0.672, 0.047) x1
O (0.127, 0.132, 0.532) x1
O (0.139, 0.591, 0.790) x1
O (0.143, 0.146, 0.041) x1
O (0.172, 0.596, 0.288) x1
O (0.262, 0.832, 0.455) x1
O (0.273, 0.826, 0.951) x1
O (0.289, 0.300, 0.716) x1
O (0.313, 0.313, 0.949) x1
O (0.321, 0.293, 0.215) x1
O (0.333, 0.277, 0.449) x1
O (0.347, 0.785, 0.207) x1
O (0.356, 0.810, 0.705) x1
O (0.453, 0.022, 0.877) x1
O (0.474, 0.023, 0.373) x1
O (0.475, 0.477, 0.869) x1
O (0.481, 0.471, 0.382) x1
O (0.492, 0.930, 0.619) x1
O (0.498, 0.918, 0.120) x1
O (0.585, 0.143, 0.791) x1
O (0.597, 0.167, 0.287) x1
O (0.608, 0.660, 0.282) x1
O (0.617, 0.619, 0.547) x1
O (0.640, 0.635, 0.048) x1
O (0.660, 0.649, 0.780) x1
O (0.673, 0.123, 0.047) x1
O (0.685, 0.117, 0.541) x1
O (0.762, 0.353, 0.206) x1
O (0.804, 0.804, 0.203) x1
O (0.811, 0.358, 0.706) x1
O (0.822, 0.270, 0.456) x1
O (0.822, 0.833, 0.453) x1
O (0.827, 0.273, 0.950) x1
O (0.834, 0.805, 0.709) x1
O (0.926, 0.489, 0.121) x1
O (0.927, 0.493, 0.619) x1
O (0.959, 0.016, 0.378) x1
O (0.973, 0.974, 0.881) x1
O (0.977, 0.974, 0.115) x1
O (0.993, 0.993, 0.616) x1

E (MP2020) in eV/atom: -7.49

9.
Computed, not measured: Li4Mn3O7 after structural relaxation at the GGA+U level of DFT.

Lattice parameters (Å, degrees): 5.081 6.945 7.728 83.24 75.99 79.19
Space group P-1 (No. 2)
One atom of each set of equivalent atoms:
Li (0.000, 0.000, 0.000) x1
Li (0.068, 0.860, 0.349) x2
Li (0.205, 0.565, 0.070) x2
Li (0.336, 0.262, 0.787) x2
Li (0.500, 0.000, 0.500) x1
Mn (0.145, 0.728, 0.720) x2
Mn (0.284, 0.427, 0.427) x2
Mn (0.430, 0.131, 0.140) x2
O (0.028, 0.428, 0.665) x2
O (0.112, 0.283, 0.051) x2
O (0.173, 0.140, 0.374) x2
O (0.274, 0.995, 0.757) x2
O (0.347, 0.880, 0.100) x2
O (0.399, 0.706, 0.482) x2
O (0.473, 0.610, 0.819) x2

E (MP2020) in eV/atom: -7.12
Energy relative to the lowest polymorph listed for this composition in meV per atom: 2

10.
Computed, not measured: Li3Mn2O4 after structural relaxation at the GGA+U level of DFT.

Lattice parameters (Å, degrees): 8.316 8.318 6.378 90.00 130.53 90.00
Space group C2/c (No. 15)
One atom of each set of equivalent atoms:
Li (0.000, 0.000, 0.000) x4
Li (0.000, 0.127, 0.250) x4
Li (0.250, 0.250, 0.500) x4
Mn (0.000, 0.500, 0.000) x4
Mn (0.250, 0.250, 0.000) x4
O (0.009, 0.255, 0.013) x8
O (0.245, 0.002, 0.979) x8

E (MP2020) in eV/atom: -6.76
Energy relative to the lowest polymorph listed for this composition in meV per atom: 13

11.
Computed, not measured: Li4Mn3O7 after structural relaxation at the GGA+U level of DFT.

Lattice parameters (Å, degrees): 20.981 2.885 8.810 90.00 101.41 90.00
Space group C2/m (No. 12)
One atom of each set of equivalent atoms:
Li (0.000, 0.000, 0.000) x2
Li (0.000, 0.000, 0.500) x2
Li (0.070, 0.500, 0.320) x4
Li (0.139, 0.000, 0.575) x4
Li (0.215, 0.500, 0.852) x4
Mn (0.069, 0.500, 0.766) x4
Mn (0.141, 0.000, 0.061) x4
Mn (0.211, 0.500, 0.358) x4
O (0.006, 0.000, 0.751) x4
O (0.071, 0.500, 0.558) x4
O (0.076, 0.500, 0.011) x4
O (0.134, 0.000, 0.807) x4
O (0.145, 0.000, 0.326) x4
O (0.206, 0.500, 0.094) x4
O (0.224, 0.500, 0.618) x4

E (MP2020) in eV/atom: -7.11
Energy relative to the lowest polymorph listed for this composition in meV per atom: 16